1.
Below is crystalline TbIn2Pd at its relaxed geometry, with properties calculated at the meta-GGA r2SCAN level.

Cell: 10.784 10.784 10.784 Å, 100.39 100.39 129.74°
Fractional coordinates of all 40 atoms:
Tb: 0.000 0.000 0.000
Tb: 0.073 0.352 0.280
Tb: 0.073 0.793 0.720
Tb: 0.352 0.073 0.280
Tb: 0.384 0.384 0.596
Tb: 0.384 0.788 0.000
Tb: 0.471 0.471 0.000
Tb: 0.788 0.384 0.000
Tb: 0.788 0.788 0.404
Tb: 0.793 0.073 0.720
In: 0.107 0.107 0.737
In: 0.107 0.370 0.000
In: 0.194 0.687 0.209
In: 0.194 0.985 0.507
In: 0.214 0.597 0.617
In: 0.370 0.107 0.000
In: 0.370 0.370 0.263
In: 0.478 0.687 0.493
In: 0.478 0.985 0.791
In: 0.581 0.743 0.837
In: 0.597 0.214 0.617
In: 0.597 0.980 0.383
In: 0.687 0.194 0.209
In: 0.687 0.478 0.493
In: 0.743 0.581 0.837
In: 0.743 0.906 0.163
In: 0.906 0.743 0.163
In: 0.980 0.597 0.383
In: 0.985 0.194 0.507
In: 0.985 0.478 0.791
Pd: 0.089 0.089 0.321
Pd: 0.089 0.768 0.000
Pd: 0.221 0.436 0.785
Pd: 0.345 0.845 0.500
Pd: 0.436 0.221 0.785
Pd: 0.436 0.651 0.215
Pd: 0.651 0.436 0.215
Pd: 0.768 0.089 0.000
Pd: 0.768 0.768 0.679
Pd: 0.845 0.345 0.500

Summary:
VASP energy ... -25.6087 eV/atom
ρ ... 9.41 g/cm3
Space group ... No. 107

2.
Below is crystalline SrI2 at its relaxed geometry, with properties calculated at the meta-GGA r2SCAN level.

Cell: 7.994 15.493 8.290 Å, 90.00 90.00 90.00°
Fractional coordinates of all 24 atoms:
Sr: 0.224 0.111 0.050
Sr: 0.224 0.389 0.550
Sr: 0.276 0.611 0.050
Sr: 0.276 0.889 0.550
Sr: 0.724 0.111 0.450
Sr: 0.724 0.389 0.950
Sr: 0.776 0.611 0.450
Sr: 0.776 0.889 0.950
I: 0.005 0.033 0.733
I: 0.005 0.467 0.233
I: 0.159 0.703 0.391
I: 0.159 0.797 0.891
I: 0.341 0.203 0.391
I: 0.341 0.297 0.891
I: 0.495 0.533 0.733
I: 0.495 0.967 0.233
I: 0.505 0.033 0.767
I: 0.505 0.467 0.267
I: 0.659 0.703 0.109
I: 0.659 0.797 0.609
I: 0.841 0.203 0.109
I: 0.841 0.297 0.609
I: 0.995 0.533 0.767
I: 0.995 0.967 0.267

Summary:
VASP energy ... -23.3520 eV/atom
ρ ... 4.42 g/cm3
Space group ... No. 61

3.
Below is crystalline AgSO4 at its relaxed geometry, with properties calculated at the meta-GGA r2SCAN level.

Cell: 4.677 4.759 8.166 Å, 74.28 84.41 67.82°
Fractional coordinates of all 12 atoms:
Ag: 0.000 0.000 0.000
Ag: 0.500 0.000 0.500
S: 0.086 0.603 0.741
S: 0.914 0.397 0.259
O: 0.098 0.279 0.761
O: 0.230 0.610 0.893
O: 0.237 0.170 0.269
O: 0.255 0.675 0.584
O: 0.745 0.325 0.416
O: 0.763 0.830 0.731
O: 0.770 0.390 0.107
O: 0.902 0.721 0.239

Summary:
VASP energy ... -9.8983 eV/atom
ρ ... 4.18 g/cm3
Space group ... No. 2

4.
Below is crystalline Tl3PS4 at its relaxed geometry, with properties calculated at the meta-GGA r2SCAN level.

Cell: 8.921 10.922 9.113 Å, 90.00 90.00 90.00°
Fractional coordinates of all 32 atoms:
Tl: 0.062 0.051 0.198
Tl: 0.062 0.449 0.198
Tl: 0.108 0.750 0.390
Tl: 0.392 0.250 0.890
Tl: 0.438 0.551 0.698
Tl: 0.438 0.949 0.698
Tl: 0.562 0.051 0.302
Tl: 0.562 0.449 0.302
Tl: 0.608 0.750 0.110
Tl: 0.892 0.250 0.610
Tl: 0.938 0.551 0.802
Tl: 0.938 0.949 0.802
P: 0.221 0.750 0.972
P: 0.279 0.250 0.472
P: 0.721 0.750 0.528
P: 0.779 0.250 0.028
S: 0.010 0.750 0.059
S: 0.164 0.097 0.533
S: 0.164 0.403 0.533
S: 0.198 0.750 0.746
S: 0.302 0.250 0.246
S: 0.336 0.597 0.033
S: 0.336 0.903 0.033
S: 0.490 0.250 0.559
S: 0.510 0.750 0.441
S: 0.664 0.097 0.967
S: 0.664 0.403 0.967
S: 0.698 0.750 0.754
S: 0.802 0.250 0.254
S: 0.836 0.597 0.467
S: 0.836 0.903 0.467
S: 0.990 0.250 0.941

Summary:
VASP energy ... -25.6002 eV/atom
ρ ... 5.78 g/cm3
Space group ... No. 62

5.
Below is crystalline ThRu3C at its relaxed geometry, with properties calculated at the meta-GGA r2SCAN level.

Cell: 4.213 4.213 4.213 Å, 90.00 90.00 90.00°
Fractional coordinates of all 5 atoms:
Th: 0.000 0.000 0.000
Ru: 0.000 0.500 0.500
Ru: 0.500 0.000 0.500
Ru: 0.500 0.500 0.000
C: 0.500 0.500 0.500

Summary:
VASP energy ... -32.2503 eV/atom
ρ ... 12.15 g/cm3
Space group ... No. 221

6.
Below is crystalline Ba3SrI8 at its relaxed geometry, with properties calculated at the meta-GGA r2SCAN level.

Cell: 10.133 10.133 10.133 Å, 131.79 131.79 70.56°
Fractional coordinates of all 12 atoms:
Ba: 0.000 0.000 0.000
Ba: 0.250 0.750 0.500
Ba: 0.750 0.250 0.500
Sr: 0.500 0.500 0.000
I: 0.132 0.132 0.509
I: 0.132 0.623 0.000
I: 0.377 0.377 0.509
I: 0.377 0.868 0.000
I: 0.623 0.132 0.000
I: 0.623 0.623 0.491
I: 0.868 0.377 0.000
I: 0.868 0.868 0.491

Summary:
VASP energy ... -26.2539 eV/atom
ρ ... 4.44 g/cm3
Space group ... No. 139

7.
Below is crystalline V2Cu2O7 at its relaxed geometry, with properties calculated at the meta-GGA r2SCAN level.

Cell: 5.541 5.541 10.128 Å, 103.58 103.58 91.85°
Fractional coordinates of all 22 atoms:
V: 0.002 0.444 0.286
V: 0.444 0.002 0.786
V: 0.556 0.998 0.214
V: 0.998 0.556 0.714
Cu: 0.240 0.386 0.015
Cu: 0.386 0.240 0.515
Cu: 0.614 0.760 0.485
Cu: 0.760 0.614 0.985
O: 0.012 0.517 0.128
O: 0.131 0.869 0.750
O: 0.179 0.367 0.636
O: 0.289 0.468 0.398
O: 0.367 0.179 0.136
O: 0.468 0.289 0.898
O: 0.483 0.988 0.372
O: 0.517 0.012 0.628
O: 0.532 0.711 0.102
O: 0.633 0.821 0.864
O: 0.711 0.532 0.602
O: 0.821 0.633 0.364
O: 0.869 0.131 0.250
O: 0.988 0.483 0.872

Summary:
VASP energy ... -10.2016 eV/atom
ρ ... 3.87 g/cm3
Space group ... No. 15

8.
Below is crystalline YCuS2 at its relaxed geometry, with properties calculated at the meta-GGA r2SCAN level.

Cell: 3.943 6.252 13.427 Å, 90.00 90.00 90.00°
Fractional coordinates of all 16 atoms:
Y: 0.247 0.248 0.366
Y: 0.253 0.752 0.866
Y: 0.747 0.252 0.634
Y: 0.753 0.748 0.134
Cu: 0.244 0.874 0.543
Cu: 0.256 0.126 0.043
Cu: 0.744 0.626 0.457
Cu: 0.756 0.374 0.957
S: 0.246 0.497 0.539
S: 0.247 0.006 0.702
S: 0.253 0.994 0.202
S: 0.254 0.503 0.039
S: 0.746 0.003 0.461
S: 0.747 0.494 0.298
S: 0.753 0.506 0.798
S: 0.754 0.997 0.961

Summary:
VASP energy ... -13.3986 eV/atom
ρ ... 4.35 g/cm3
Space group ... No. 19

9.
Below is crystalline Y5P12Ru19 at its relaxed geometry, with properties calculated at the meta-GGA r2SCAN level.

Cell: 12.449 12.449 3.969 Å, 90.00 90.00 120.00°
Fractional coordinates of all 36 atoms:
Y: 0.000 0.184 0.000
Y: 0.184 0.000 0.000
Y: 0.333 0.667 0.500
Y: 0.667 0.333 0.500
Y: 0.816 0.816 0.000
P: 0.000 0.373 0.500
P: 0.000 0.815 0.500
P: 0.172 0.695 0.000
P: 0.185 0.185 0.500
P: 0.305 0.477 0.000
P: 0.373 0.000 0.500
P: 0.477 0.305 0.000
P: 0.523 0.828 0.000
P: 0.627 0.627 0.500
P: 0.695 0.172 0.000
P: 0.815 0.000 0.500
P: 0.828 0.523 0.000
Ru: 0.000 0.000 0.500
Ru: 0.000 0.554 0.500
Ru: 0.000 0.717 0.000
Ru: 0.126 0.492 0.000
Ru: 0.185 0.807 0.500
Ru: 0.193 0.378 0.500
Ru: 0.283 0.283 0.000
Ru: 0.367 0.874 0.000
Ru: 0.378 0.193 0.500
Ru: 0.446 0.446 0.500
Ru: 0.492 0.126 0.000
Ru: 0.508 0.633 0.000
Ru: 0.554 0.000 0.500
Ru: 0.622 0.815 0.500
Ru: 0.633 0.508 0.000
Ru: 0.717 0.000 0.000
Ru: 0.807 0.185 0.500
Ru: 0.815 0.622 0.500
Ru: 0.874 0.367 0.000

Summary:
VASP energy ... -20.1675 eV/atom
ρ ... 8.53 g/cm3
Space group ... No. 189

10.
Below is crystalline Mg3Bi at its relaxed geometry, with properties calculated at the meta-GGA r2SCAN level.

Cell: 5.778 5.778 5.778 Å, 134.51 134.51 66.29°
Fractional coordinates of all 4 atoms:
Mg: 0.000 0.000 0.000
Mg: 0.250 0.750 0.500
Mg: 0.750 0.250 0.500
Bi: 0.500 0.500 0.000

Summary:
VASP energy ... -17.8237 eV/atom
ρ ... 4.85 g/cm3
Space group ... No. 139

11.
Below is crystalline In7Pd3 at its relaxed geometry, with properties calculated at the meta-GGA r2SCAN level.

Cell: 8.242 8.242 8.242 Å, 109.47 109.47 109.47°
Fractional coordinates of all 20 atoms:
In: 0.000 0.000 0.324
In: 0.000 0.000 0.676
In: 0.000 0.324 0.000
In: 0.000 0.676 0.000
In: 0.250 0.500 0.750
In: 0.250 0.750 0.500
In: 0.324 0.000 0.000
In: 0.324 0.324 0.324
In: 0.500 0.250 0.750
In: 0.500 0.750 0.250
In: 0.676 0.000 0.000
In: 0.676 0.676 0.676
In: 0.750 0.250 0.500
In: 0.750 0.500 0.250
Pd: 0.000 0.348 0.348
Pd: 0.000 0.652 0.652
Pd: 0.348 0.000 0.348
Pd: 0.348 0.348 0.000
Pd: 0.652 0.000 0.652
Pd: 0.652 0.652 0.000

Summary:
VASP energy ... -23.1375 eV/atom
ρ ... 8.65 g/cm3
Space group ... No. 229

12.
Below is crystalline La3Ni2Sn7 at its relaxed geometry, with properties calculated at the meta-GGA r2SCAN level.

Cell: 14.076 14.076 4.633 Å, 90.00 90.00 161.10°
Fractional coordinates of all 12 atoms:
La: 0.000 0.000 0.000
La: 0.316 0.684 0.500
La: 0.684 0.316 0.500
Ni: 0.128 0.872 0.000
Ni: 0.872 0.128 0.000
Sn: 0.090 0.910 0.500
Sn: 0.218 0.782 0.000
Sn: 0.410 0.590 0.000
Sn: 0.500 0.500 0.500
Sn: 0.590 0.410 0.000
Sn: 0.782 0.218 0.000
Sn: 0.910 0.090 0.500

Summary:
VASP energy ... -24.5331 eV/atom
ρ ... 7.62 g/cm3
Space group ... No. 65

| no. | E_form (eV/atom) |
| --- | --- |
| 1 | -0.7727 |
| 2 | -1.9310 |
| 3 | -1.0183 |
| 4 | -0.5157 |
| 5 | -0.3111 |
| 6 | -1.9944 |
| 7 | -1.8670 |
| 8 | -1.5914 |
| 9 | -0.9270 |
| 10 | -0.0712 |
| 11 | -0.4444 |
| 12 | -0.6647 |